## LiSnPO4 (PBE)

Data for a geometry-optimized LiSnPO4 structure. Values from VASP.

Computed properties:
Volume (Å³ per atom): 13.41
Space group: P31c, No. 159
E (eV/atom): -6.489

```
&SYSTEM
  ibrav = 0, nat = 42, ntyp = 4
/
ATOMIC_SPECIES
Li 6.94 Li.upf
Sn 118.71 Sn.upf
P 30.97 P.upf
O 16.00 O.upf
ATOMIC_POSITIONS crystal
Li 0.021 0.233 0.000
Li 0.211 0.979 0.000
Li 0.233 0.021 0.500
Li 0.767 0.789 0.000
Li 0.789 0.767 0.500
Li 0.979 0.211 0.500
Sn 0.006 0.575 0.222
Sn 0.425 0.431 0.222
Sn 0.431 0.425 0.722
Sn 0.569 0.994 0.222
Sn 0.575 0.006 0.722
Sn 0.994 0.569 0.722
P 0.000 0.000 0.248
P 0.000 0.000 0.748
P 0.333 0.667 0.503
P 0.333 0.667 0.943
P 0.667 0.333 0.003
P 0.667 0.333 0.443
O 0.000 0.000 0.399
O 0.000 0.000 0.899
O 0.098 0.887 0.191
O 0.113 0.211 0.191
O 0.211 0.113 0.691
O 0.222 0.770 0.893
O 0.224 0.454 0.555
O 0.230 0.452 0.893
O 0.230 0.776 0.555
O 0.333 0.667 0.094
O 0.333 0.667 0.352
O 0.452 0.230 0.393
O 0.454 0.224 0.055
O 0.546 0.770 0.555
O 0.548 0.778 0.893
O 0.667 0.333 0.594
O 0.667 0.333 0.852
O 0.770 0.222 0.393
O 0.770 0.546 0.055
O 0.776 0.230 0.055
O 0.778 0.548 0.393
O 0.789 0.902 0.191
O 0.887 0.098 0.691
O 0.902 0.789 0.691
CELL_PARAMETERS angstrom
7.958 0.000 0.000
-3.979 6.892 0.000
0.000 0.000 10.273
```



## LiSnP3O9 (PBE)

Data for a geometry-optimized LiSnP3O9 structure. Values from VASP.

Computed properties:
Volume (Å³ per atom): 13.12
Space group: P-1, No. 2
E (eV/atom): -6.843

```
&SYSTEM
  ibrav = 0, nat = 28, ntyp = 4
/
ATOMIC_SPECIES
Li 6.94 Li.upf
Sn 118.71 Sn.upf
P 30.97 P.upf
O 16.00 O.upf
ATOMIC_POSITIONS crystal
Li 0.052 0.173 0.176
Li 0.948 0.827 0.824
Sn 0.449 0.766 0.854
Sn 0.551 0.234 0.146
P 0.087 0.614 0.217
P 0.269 0.840 0.442
P 0.348 0.280 0.776
P 0.652 0.720 0.224
P 0.731 0.160 0.558
P 0.913 0.386 0.783
O 0.133 0.748 0.050
O 0.140 0.413 0.202
O 0.148 0.346 0.696
O 0.179 0.667 0.384
O 0.212 0.840 0.646
O 0.231 0.010 0.321
O 0.324 0.112 0.910
O 0.427 0.437 0.843
O 0.491 0.228 0.587
O 0.509 0.772 0.413
O 0.573 0.563 0.157
O 0.676 0.888 0.090
O 0.769 0.990 0.679
O 0.788 0.160 0.354
O 0.821 0.333 0.616
O 0.852 0.654 0.304
O 0.860 0.587 0.798
O 0.867 0.252 0.950
CELL_PARAMETERS angstrom
6.863 0.000 0.000
0.960 7.271 0.000
1.406 0.645 7.361
```



## Li2SnP4O12 (PBE)

Data for a geometry-optimized Li2SnP4O12 structure. Values from VASP.

Computed properties:
Volume (Å³ per atom): 12.96
Space group: P2_1/c, No. 14
E (eV/atom): -6.804

```
&SYSTEM
  ibrav = 0, nat = 76, ntyp = 4
/
ATOMIC_SPECIES
Li 6.94 Li.upf
Sn 118.71 Sn.upf
P 30.97 P.upf
O 16.00 O.upf
ATOMIC_POSITIONS crystal
Li 0.113 0.183 0.004
Li 0.113 0.317 0.504
Li 0.386 0.175 0.008
Li 0.386 0.325 0.508
Li 0.614 0.675 0.492
Li 0.614 0.825 0.992
Li 0.887 0.683 0.496
Li 0.887 0.817 0.996
Sn 0.247 0.702 0.474
Sn 0.247 0.798 0.974
Sn 0.753 0.202 0.026
Sn 0.753 0.298 0.526
P 0.003 0.602 0.198
P 0.003 0.898 0.698
P 0.232 0.092 0.697
P 0.232 0.408 0.197
P 0.267 0.522 0.754
P 0.267 0.978 0.254
P 0.463 0.610 0.199
P 0.463 0.890 0.699
P 0.537 0.110 0.301
P 0.537 0.390 0.801
P 0.733 0.022 0.746
P 0.733 0.478 0.246
P 0.768 0.592 0.803
P 0.768 0.908 0.303
P 0.997 0.102 0.302
P 0.997 0.398 0.802
O 0.026 0.626 0.349
O 0.026 0.874 0.849
O 0.034 0.706 0.097
O 0.034 0.794 0.597
O 0.082 0.029 0.657
O 0.082 0.471 0.157
O 0.157 0.065 0.334
O 0.157 0.435 0.834
O 0.240 0.660 0.787
O 0.240 0.840 0.287
O 0.244 0.114 0.847
O 0.244 0.386 0.347
O 0.251 0.202 0.600
O 0.251 0.298 0.100
O 0.271 0.016 0.106
O 0.271 0.484 0.606
O 0.332 0.525 0.148
O 0.332 0.975 0.648
O 0.408 0.017 0.334
O 0.408 0.483 0.834
O 0.456 0.633 0.351
O 0.456 0.867 0.851
O 0.469 0.722 0.103
O 0.469 0.778 0.603
O 0.531 0.222 0.397
O 0.531 0.278 0.897
O 0.544 0.133 0.149
O 0.544 0.367 0.649
O 0.592 0.517 0.166
O 0.592 0.983 0.666
O 0.668 0.025 0.352
O 0.668 0.475 0.852
O 0.729 0.516 0.394
O 0.729 0.984 0.894
O 0.749 0.702 0.900
O 0.749 0.798 0.400
O 0.756 0.614 0.653
O 0.756 0.886 0.153
O 0.760 0.160 0.713
O 0.760 0.340 0.213
O 0.843 0.565 0.166
O 0.843 0.935 0.666
O 0.918 0.529 0.843
O 0.918 0.971 0.343
O 0.966 0.206 0.403
O 0.966 0.294 0.903
O 0.974 0.126 0.151
O 0.974 0.374 0.651
CELL_PARAMETERS angstrom
9.607 0.000 0.000
0.000 10.456 0.000
-0.147 0.000 9.803
```



## Li3Sn2P3O12 (PBE)

Data for a geometry-optimized Li3Sn2P3O12 structure. Values from VASP.

Computed properties:
Volume (Å³ per atom): 14.43
Space group: R-3, No. 148
E (eV/atom): -6.562

```
&SYSTEM
  ibrav = 0, nat = 40, ntyp = 4
/
ATOMIC_SPECIES
Li 6.94 Li.upf
Sn 118.71 Sn.upf
P 30.97 P.upf
O 16.00 O.upf
ATOMIC_POSITIONS crystal
Li 0.057 0.329 0.755
Li 0.245 0.943 0.671
Li 0.329 0.755 0.057
Li 0.671 0.245 0.943
Li 0.755 0.057 0.329
Li 0.943 0.671 0.245
Sn 0.163 0.163 0.163
Sn 0.343 0.343 0.343
Sn 0.657 0.657 0.657
Sn 0.837 0.837 0.837
P 0.047 0.721 0.451
P 0.279 0.549 0.953
P 0.451 0.047 0.721
P 0.549 0.953 0.279
P 0.721 0.451 0.047
P 0.953 0.279 0.549
O 0.016 0.753 0.598
O 0.143 0.831 0.253
O 0.151 0.216 0.535
O 0.152 0.506 0.498
O 0.169 0.747 0.857
O 0.216 0.535 0.151
O 0.247 0.402 0.984
O 0.253 0.143 0.831
O 0.402 0.984 0.247
O 0.465 0.849 0.784
O 0.494 0.502 0.848
O 0.498 0.152 0.506
O 0.502 0.848 0.494
O 0.506 0.498 0.152
O 0.535 0.151 0.216
O 0.598 0.016 0.753
O 0.747 0.857 0.169
O 0.753 0.598 0.016
O 0.784 0.465 0.849
O 0.831 0.253 0.143
O 0.848 0.494 0.502
O 0.849 0.784 0.465
O 0.857 0.169 0.747
O 0.984 0.247 0.402
CELL_PARAMETERS angstrom
4.337 2.504 8.858
-4.337 2.504 8.858
0.000 -5.008 8.858
```



## LiSnPO4 (PBE)

Data for a geometry-optimized LiSnPO4 structure. Values from VASP.

Computed properties:
Volume (Å³ per atom): 14.51
Space group: R3, No. 146
E (eV/atom): -6.442

```
&SYSTEM
  ibrav = 0, nat = 42, ntyp = 4
/
ATOMIC_SPECIES
Li 6.94 Li.upf
Sn 118.71 Sn.upf
P 30.97 P.upf
O 16.00 O.upf
ATOMIC_POSITIONS crystal
Li 0.003 0.801 0.196
Li 0.196 0.003 0.801
Li 0.306 0.472 0.717
Li 0.472 0.717 0.306
Li 0.717 0.306 0.472
Li 0.801 0.196 0.003
Sn 0.030 0.640 0.807
Sn 0.126 0.523 0.358
Sn 0.358 0.126 0.523
Sn 0.523 0.358 0.126
Sn 0.640 0.807 0.030
Sn 0.807 0.030 0.640
P 0.167 0.371 0.966
P 0.371 0.966 0.167
P 0.447 0.863 0.690
P 0.690 0.447 0.863
P 0.863 0.690 0.447
P 0.966 0.167 0.371
O 0.160 0.275 0.491
O 0.175 0.479 0.859
O 0.245 0.912 0.249
O 0.249 0.245 0.912
O 0.266 0.927 0.979
O 0.275 0.491 0.160
O 0.342 0.973 0.690
O 0.345 0.688 0.684
O 0.479 0.859 0.175
O 0.486 0.840 0.531
O 0.491 0.160 0.275
O 0.531 0.486 0.840
O 0.620 0.959 0.858
O 0.684 0.345 0.688
O 0.688 0.684 0.345
O 0.690 0.342 0.973
O 0.840 0.531 0.486
O 0.858 0.620 0.959
O 0.859 0.175 0.479
O 0.912 0.249 0.245
O 0.927 0.979 0.266
O 0.959 0.858 0.620
O 0.973 0.690 0.342
O 0.979 0.266 0.927
CELL_PARAMETERS angstrom
7.276 4.201 3.324
-7.276 4.201 3.324
0.000 -8.402 3.324
```



## Li3Sn2P3O12 (PBE)

Data for a geometry-optimized Li3Sn2P3O12 structure. Values from VASP.

Computed properties:
Volume (Å³ per atom): 13.40
Space group: P2_1/c, No. 14
E (eV/atom): -6.565

```
&SYSTEM
  ibrav = 0, nat = 80, ntyp = 4
/
ATOMIC_SPECIES
Li 6.94 Li.upf
Sn 118.71 Sn.upf
P 30.97 P.upf
O 16.00 O.upf
ATOMIC_POSITIONS crystal
Li 0.002 0.246 0.307
Li 0.002 0.254 0.807
Li 0.201 0.075 0.288
Li 0.201 0.425 0.788
Li 0.393 0.223 0.174
Li 0.393 0.277 0.674
Li 0.607 0.723 0.326
Li 0.607 0.777 0.826
Li 0.799 0.575 0.212
Li 0.799 0.925 0.712
Li 0.998 0.746 0.193
Li 0.998 0.754 0.693
Sn 0.175 0.551 0.413
Sn 0.175 0.949 0.913
Sn 0.351 0.558 0.105
Sn 0.351 0.942 0.605
Sn 0.649 0.058 0.395
Sn 0.649 0.442 0.895
Sn 0.825 0.051 0.087
Sn 0.825 0.449 0.587
P 0.032 0.098 0.639
P 0.032 0.402 0.139
P 0.287 0.593 0.670
P 0.287 0.907 0.170
P 0.423 0.235 0.490
P 0.423 0.265 0.990
P 0.577 0.735 0.010
P 0.577 0.765 0.510
P 0.713 0.093 0.830
P 0.713 0.407 0.330
P 0.968 0.598 0.861
P 0.968 0.902 0.361
O 0.013 0.036 0.320
O 0.013 0.464 0.820
O 0.062 0.239 0.701
O 0.062 0.261 0.201
O 0.124 0.631 0.975
O 0.124 0.869 0.475
O 0.152 0.606 0.701
O 0.152 0.894 0.201
O 0.211 0.077 0.644
O 0.211 0.423 0.144
O 0.212 0.531 0.564
O 0.212 0.969 0.064
O 0.240 0.195 0.919
O 0.240 0.305 0.419
O 0.383 0.745 0.686
O 0.383 0.755 0.186
O 0.415 0.147 0.574
O 0.415 0.353 0.074
O 0.429 0.024 0.244
O 0.429 0.476 0.744
O 0.431 0.651 0.454
O 0.431 0.849 0.954
O 0.454 0.129 0.422
O 0.454 0.371 0.922
O 0.546 0.629 0.078
O 0.546 0.871 0.578
O 0.569 0.151 0.046
O 0.569 0.349 0.546
O 0.571 0.524 0.256
O 0.571 0.976 0.756
O 0.585 0.647 0.926
O 0.585 0.853 0.426
O 0.617 0.245 0.814
O 0.617 0.255 0.314
O 0.760 0.695 0.581
O 0.760 0.805 0.081
O 0.788 0.031 0.936
O 0.788 0.469 0.436
O 0.789 0.577 0.856
O 0.789 0.923 0.356
O 0.848 0.106 0.799
O 0.848 0.394 0.299
O 0.876 0.131 0.525
O 0.876 0.369 0.025
O 0.938 0.739 0.799
O 0.938 0.761 0.299
O 0.987 0.536 0.180
O 0.987 0.964 0.680
CELL_PARAMETERS angstrom
8.941 0.000 0.000
0.000 9.130 0.000
-8.419 0.000 13.129
```



## Li3Sn3P4O16 (PBE)

Data for a geometry-optimized Li3Sn3P4O16 structure. Values from VASP.

Computed properties:
Volume (Å³ per atom): 13.68
Space group: P1, No. 1
E (eV/atom): -6.597

```
&SYSTEM
  ibrav = 0, nat = 78, ntyp = 4
/
ATOMIC_SPECIES
Li 6.94 Li.upf
Sn 118.71 Sn.upf
P 30.97 P.upf
O 16.00 O.upf
ATOMIC_POSITIONS crystal
Li 0.000 0.000 0.000
Li 0.002 0.330 0.339
Li 0.234 0.507 0.995
Li 0.254 0.165 0.665
Li 0.499 0.980 0.685
Li 0.520 0.640 0.347
Li 0.736 0.457 0.681
Li 0.758 0.810 0.010
Li 0.762 0.142 0.347
Sn 0.002 0.687 0.630
Sn 0.248 0.854 0.315
Sn 0.379 0.905 0.003
Sn 0.381 0.232 0.344
Sn 0.385 0.570 0.679
Sn 0.502 0.286 0.033
Sn 0.859 0.748 0.344
Sn 0.876 0.076 0.674
Sn 0.888 0.398 0.002
P 0.070 0.388 0.774
P 0.077 0.067 0.465
P 0.079 0.716 0.104
P 0.178 0.208 0.122
P 0.189 0.891 0.785
P 0.205 0.541 0.444
P 0.561 0.593 0.904
P 0.567 0.256 0.568
P 0.576 0.936 0.223
P 0.658 0.760 0.571
P 0.680 0.421 0.239
P 0.686 0.077 0.887
O 0.007 0.200 0.084
O 0.013 0.226 0.760
O 0.014 0.911 0.752
O 0.030 0.548 0.424
O 0.043 0.554 0.072
O 0.054 0.901 0.450
O 0.062 0.104 0.582
O 0.079 0.723 0.219
O 0.080 0.424 0.888
O 0.189 0.224 0.239
O 0.194 0.916 0.902
O 0.228 0.725 0.758
O 0.231 0.567 0.561
O 0.239 0.399 0.730
O 0.251 0.102 0.439
O 0.252 0.740 0.068
O 0.256 0.062 0.087
O 0.257 0.385 0.418
O 0.260 0.339 0.078
O 0.296 0.993 0.734
O 0.304 0.651 0.389
O 0.450 0.488 0.955
O 0.459 0.152 0.616
O 0.492 0.805 0.265
O 0.493 0.080 0.257
O 0.496 0.760 0.626
O 0.505 0.385 0.266
O 0.509 0.752 0.923
O 0.511 0.044 0.912
O 0.527 0.419 0.598
O 0.554 0.557 0.787
O 0.565 0.920 0.105
O 0.566 0.233 0.451
O 0.637 0.739 0.458
O 0.692 0.408 0.121
O 0.695 0.046 0.770
O 0.703 0.582 0.270
O 0.714 0.244 0.906
O 0.731 0.585 0.940
O 0.740 0.241 0.607
O 0.742 0.911 0.594
O 0.745 0.951 0.257
O 0.752 0.638 0.616
O 0.795 0.322 0.287
O 0.799 0.985 0.941
O 0.958 0.488 0.720
O 0.962 0.155 0.408
O 0.966 0.819 0.059
CELL_PARAMETERS angstrom
8.634 0.000 0.000
-0.157 9.229 0.000
-0.179 -0.603 13.386
```